--- P ---
## CsSi2HO5 (PBE-GGA)

Data for a relaxed structure of CsSi2HO5.

Properties
V ... 16.43 Å³ per atom

Lattice parameters (Å, degrees): 5.0492 8.9841 13.0407 90.00 90.00 90.00
Last column: nearest neighbours and their distance in Å.
Fractional positions:
Cs: 0.0671 0.7500 0.9418  7 O 3.11-3.42, 2 H 3.22
Cs: 0.5671 0.7500 0.5582  7 O 3.11-3.42, 2 H 3.22
Cs: 0.4329 0.2500 0.4418  7 O 3.11-3.42, 2 H 3.22
Cs: 0.9329 0.2500 0.0582  7 O 3.11-3.42, 2 H 3.22
Si: 0.0302 0.0712 0.6835  4 O 1.61-1.65
Si: 0.9698 0.5712 0.3165  4 O 1.61-1.65
Si: 0.4698 0.5712 0.1835  4 O 1.61-1.65
Si: 0.9698 0.9288 0.3165  4 O 1.61-1.65
Si: 0.5302 0.4288 0.8165  4 O 1.61-1.65
Si: 0.4698 0.9288 0.1835  4 O 1.61-1.65
Si: 0.5302 0.0712 0.8165  4 O 1.61-1.65
Si: 0.0302 0.4288 0.6835  4 O 1.61-1.65
H: 0.5000 0.5000 0.0000  2 O 1.23
H: 0.5000 0.0000 0.0000  2 O 1.23
H: 0.0000 0.5000 0.5000  2 O 1.23
H: 0.0000 0.0000 0.5000  2 O 1.23
O: 0.3965 0.4748 0.0836  1 H 1.23
O: 0.7262 0.0333 0.7221  2 Si 1.62-1.65
O: 0.6035 0.5252 0.9164  1 H 1.23
O: 0.5469 0.2500 0.8459  2 Si 1.65
O: 0.2738 0.9667 0.2779  2 Si 1.62-1.65
O: 0.9531 0.7500 0.3459  2 Si 1.65
O: 0.2262 0.4667 0.7779  2 Si 1.62-1.65
O: 0.2262 0.0333 0.7779  2 Si 1.62-1.65
O: 0.8965 0.0252 0.4164  1 H 1.23
O: 0.7262 0.4667 0.7221  2 Si 1.62-1.65
O: 0.6035 0.9748 0.9164  1 H 1.23
O: 0.1035 0.9748 0.5836  1 H 1.23
O: 0.7738 0.5333 0.2221  2 Si 1.62-1.65
O: 0.1035 0.5252 0.5836  1 H 1.23
O: 0.7738 0.9667 0.2221  2 Si 1.62-1.65
O: 0.0469 0.2500 0.6541  2 Si 1.65
O: 0.2738 0.5333 0.2779  2 Si 1.62-1.65
O: 0.4531 0.7500 0.1541  2 Si 1.65
O: 0.3965 0.0252 0.0836  1 H 1.23
O: 0.8965 0.4748 0.4164  1 H 1.23



--- Q ---
## CsSi2HO5 (PBE-GGA)

Data for a relaxed structure of CsSi2HO5.

Properties
V ... 16.80 Å³ per atom

Lattice parameters (Å, degrees): 5.0464 9.0745 13.2044 90.00 90.00 90.00
Last column: nearest neighbours and their distance in Å.
Fractional positions:
Cs: 0.5666 0.2461 0.8098  6 O 3.13-3.45, 2 H 3.24-3.27
Cs: 0.0666 0.2539 0.1902  6 O 3.13-3.45, 2 H 3.24-3.27
Cs: 0.4334 0.7461 0.6902  6 O 3.13-3.45, 2 H 3.24-3.27
Cs: 0.9334 0.7539 0.3098  6 O 3.13-3.45, 2 H 3.24-3.27
Si: 0.0300 0.5762 0.9348  4 O 1.62-1.64
Si: 0.5300 0.9238 0.0652  4 O 1.62-1.64
Si: 0.9700 0.0762 0.5652  4 O 1.62-1.64
Si: 0.4700 0.4238 0.4348  4 O 1.62-1.64
Si: 0.9687 0.4288 0.5710  4 O 1.59-1.66
Si: 0.4687 0.0712 0.4290  4 O 1.59-1.66
Si: 0.0313 0.9288 0.9290  4 O 1.59-1.66
Si: 0.5313 0.5712 0.0710  4 O 1.59-1.66
H: 0.0131 0.4987 0.7634  1 O 1.09
H: 0.5131 0.0013 0.2366  1 O 1.09
H: 0.9869 0.9987 0.7366  1 O 1.09
H: 0.4869 0.5013 0.2634  1 O 1.09
O: 0.9493 0.2507 0.5957  2 Si 1.64-1.65
O: 0.4493 0.2493 0.4043  2 Si 1.64-1.65
O: 0.0507 0.7507 0.9043  2 Si 1.64-1.65
O: 0.5507 0.7493 0.0957  2 Si 1.64-1.65
O: 0.7293 0.5366 0.9739  2 Si 1.64-1.66
O: 0.2293 0.9634 0.0261  2 Si 1.64-1.66
O: 0.2707 0.0366 0.5261  2 Si 1.64-1.66
O: 0.7707 0.4634 0.4739  2 Si 1.64-1.66
O: 0.2699 0.4650 0.5285  2 Si 1.64-1.65
O: 0.7699 0.0350 0.4715  2 Si 1.64-1.65
O: 0.7301 0.9650 0.9715  2 Si 1.64-1.65
O: 0.2301 0.5350 0.0285  2 Si 1.64-1.65
O: 0.1047 0.4777 0.8365  1 H 1.09
O: 0.6047 0.0223 0.1635  1 H 1.09
O: 0.8953 0.9777 0.6635  1 H 1.09
O: 0.3953 0.5223 0.3365  1 H 1.09
O: 0.9031 0.5236 0.6695  1 H 1.38
O: 0.4031 0.9764 0.3305  1 H 1.38
O: 0.0969 0.0236 0.8305  1 H 1.38
O: 0.5969 0.4764 0.1695  1 H 1.38



Here are the energies relative to the best structure, in meV/atom: P 5; Q 0.